Computed, not measured: a relaxed MgCo6O9F3 crystal at the PBE with a Hubbard U level of DFT.

a = 4.806 Å, b = 4.806 Å, c = 8.943 Å
α = 90.00°, β = 90.00°, γ = 101.29°
Positions (direct):
F  0.185  0.815  0.167
F  0.805  0.195  0.854
F  0.805  0.195  0.479
O  0.178  0.822  0.487
O  0.693  0.686  0.324
O  0.693  0.686  0.009
O  0.686  0.714  0.667
O  0.826  0.174  0.167
O  0.178  0.822  0.846
O  0.314  0.307  0.324
O  0.314  0.307  0.009
O  0.286  0.314  0.667
Co  0.439  0.561  0.854
Co  0.001  0.999  0.007
Co  0.439  0.561  0.479
Co  0.001  0.999  0.326
Co  0.070  0.930  0.667
Co  0.573  0.427  0.167
Mg  0.708  0.292  0.667

Total magnetization ... 15.00 Bohr magnetons per cell
Polymorph energy (0 for the lowest one) ... 1.89 eV/f.u.
Electronic total energy ... -0.4028 Ry/atom